1.
Here is a geometry-optimized Na2UI6 structure from Materials Project. Energies are from GGA-PBE.

Results
Total DFT energy (no corrections)   -3.5818 eV/atom
M_tot   2.00 μB/cell
ΔE_f   -1103 kJ/mol of formula units
Energy above the most stable polymorph in this dataset   0.33 eV per formula unit

a b c (Å): 10.1617 9.4669 8.0457
angles (deg): 70.40 61.36 48.24
With the nearest neighbours (Å) after each atom.
Fractional positions:
Na1 0.0000 0.0000 0.5000  6 I 3.17-3.37
Na2 0.5000 0.5000 0.0000  6 I 3.17-3.37
U1 0.0000 0.0000 0.0000  6 I 3.03-3.05
I1 0.0502 0.6941 0.3059  1 U 3.03, 2 Na 3.37
I2 0.3059 0.9498 0.0502  1 U 3.03, 2 Na 3.37
I3 0.6983 0.3017 0.3017  1 U 3.05, 2 Na 3.17
I4 0.9498 0.3059 0.6941  1 U 3.03, 2 Na 3.37
I5 0.6941 0.0502 0.9498  1 U 3.03, 2 Na 3.37
I6 0.3017 0.6983 0.6983  1 U 3.05, 2 Na 3.17

***

2.
Here is a geometry-optimized GaMo2C structure from Materials Project. Energies are from GGA-PBE.

Results
Total DFT energy (no corrections)   -8.6024 eV/atom
ΔE_f   -45 kJ/mol of formula units

a b c (Å): 3.0627 3.0627 13.2405
angles (deg): 90.00 90.00 120.00
With the nearest neighbours (Å) after each atom.
Fractional positions:
Ga1 0.3333 0.6667 0.7500  6 Mo 2.77, 6 Ga 3.06
Ga2 0.6667 0.3333 0.2500  6 Mo 2.77, 6 Ga 3.06
Mo1 0.3333 0.6667 0.4107  3 C 2.13
Mo2 0.6667 0.3333 0.5893  3 C 2.13
Mo3 0.6667 0.3333 0.9107  3 C 2.13
Mo4 0.3333 0.6667 0.0893  3 C 2.13
C1 0.0000 0.0000 0.5000  6 Mo 2.13
C2 0.0000 0.0000 0.0000  6 Mo 2.13